BaBiO3, relaxed, DFT GGA-PBE; calculated formation energy = -1.59 eV per atom; total energy after the MP2020 corrections = -57.21 eV for the cell shown
1.0
7.863 3.564 9.434
-1.382 2.943 2.728
-4.780 -5.504 -2.435
Ba Bi O
2 2 6
Direct
0.308 0.887 0.014
0.644 0.978 0.970
0.098 0.618 0.237
0.803 0.961 0.643
0.614 0.709 0.176
0.566 0.423 0.484
0.179 0.185 0.584
0.281 0.299 0.596
0.556 0.273 0.610
0.949 0.167 0.686

***

HfMg6Mn, relaxed, DFT GGA-PBE; calculated formation energy = 0.15 eV per atom; excess energy over the best structure of this formula in the dataset = 0.0 meV/atom
1.0
4.908 0.000 0.000
0.000 6.171 0.000
0.000 0.000 11.119
Hf Mg Mn
2 12 2
Direct
0.500 0.500 0.187
0.500 0.000 0.687
0.000 0.744 0.080
0.000 0.256 0.080
0.000 0.000 0.329
0.500 0.257 0.423
0.500 0.743 0.423
0.500 0.000 0.167
0.000 0.244 0.580
0.000 0.756 0.580
0.000 0.500 0.829
0.500 0.757 0.923
0.500 0.243 0.923
0.500 0.500 0.667
0.000 0.500 0.311
0.000 0.000 0.811

***

Mn3B4W, relaxed, DFT GGA-PBE; calculated formation energy = -0.44 eV per atom
1.0
3.011 0.000 0.000
0.000 4.278 0.000
0.000 0.059 5.628
Mn B W
3 4 1
Direct
0.000 0.877 0.827
0.500 0.374 0.678
0.500 0.120 0.172
0.000 0.118 0.474
0.000 0.382 0.958
0.500 0.903 0.545
0.500 0.603 0.020
0.000 0.624 0.325

***

Please write out number 1 again, unchanged.
BaBiO3, relaxed, DFT GGA-PBE; calculated formation energy = -1.59 eV per atom; total energy after the MP2020 corrections = -57.21 eV for the cell shown
1.0
7.863 3.564 9.434
-1.382 2.943 2.728
-4.780 -5.504 -2.435
Ba Bi O
2 2 6
Direct
0.308 0.887 0.014
0.644 0.978 0.970
0.098 0.618 0.237
0.803 0.961 0.643
0.614 0.709 0.176
0.566 0.423 0.484
0.179 0.185 0.584
0.281 0.299 0.596
0.556 0.273 0.610
0.949 0.167 0.686